1.
VASP calculation (GGA+U) on a geometry-optimized Ca2MnO4 structure.

Cell lengths 5.3043, 5.3043, 12.4787 Å; angles 77.73, 77.73, 90.00 degrees
Fractional coordinates of all 28 atoms:
Ca: 0.4477 0.1977 0.6046
Ca: 0.8023 0.5523 0.8954
Ca: 0.6977 0.9477 0.1046
Ca: 0.1977 0.4477 0.1046
Ca: 0.3023 0.0523 0.8954
Ca: 0.5523 0.8023 0.3954
Ca: 0.0523 0.3023 0.3954
Ca: 0.9477 0.6977 0.6046
Mn: 0.6250 0.3750 0.2500
Mn: 0.1250 0.8750 0.2500
Mn: 0.3750 0.6250 0.7500
Mn: 0.8750 0.1250 0.7500
O: 0.0431 0.7931 0.4138
O: 0.7931 0.0431 0.9138
O: 0.8750 0.1250 0.2500
O: 0.2931 0.5431 0.9138
O: 0.5431 0.2931 0.4138
O: 0.9569 0.2069 0.5862
O: 0.1250 0.3750 0.7500
O: 0.3750 0.1250 0.2500
O: 0.6250 0.8750 0.7500
O: 0.7069 0.4569 0.0862
O: 0.3750 0.6250 0.2500
O: 0.1250 0.8750 0.7500
O: 0.8750 0.6250 0.2500
O: 0.4569 0.7069 0.5862
O: 0.6250 0.3750 0.7500
O: 0.2069 0.9569 0.0862

Values from the calculation:
* DFT total energy: -6.813 eV per atom
* theoretical density: 3.95 g/cm³
* total magnetic moment: 0.00 μB per atom
* energy of formation from the pure elements: -2.7347 eV per atom
* energy relative to the lowest polymorph listed for this composition: 0.014 eV/atom

=====

2.
VASP calculation (GGA+U) on a geometry-optimized CaMnO3 structure.

Cell lengths 5.3909, 5.3909, 9.2176 Å; angles 90.00, 90.00, 120.00 degrees
Fractional coordinates of all 20 atoms:
Mn: 0.3333 0.6667 0.8863
Mn: 0.6667 0.3333 0.3863
Mn: 0.3333 0.6667 0.6137
Mn: 0.6667 0.3333 0.1137
O: 0.0000 0.5000 0.0000
O: 0.1763 0.3525 0.7500
O: 0.8237 0.1763 0.2500
O: 0.5000 0.5000 0.5000
O: 0.5000 0.5000 0.0000
O: 0.8237 0.6475 0.2500
O: 0.5000 0.0000 0.0000
O: 0.6475 0.8237 0.7500
O: 0.5000 0.0000 0.5000
O: 0.0000 0.5000 0.5000
O: 0.1763 0.8237 0.7500
O: 0.3525 0.1763 0.2500
Ca: 0.0000 0.0000 0.5000
Ca: 0.6667 0.3333 0.7500
Ca: 0.3333 0.6667 0.2500
Ca: 0.0000 0.0000 0.0000

Values from the calculation:
* DFT total energy: -6.872 eV per atom
* theoretical density: 4.09 g/cm³
* total magnetic moment: 0.60 μB per atom
* energy of formation from the pure elements: -2.4158 eV per atom

=====

3.
VASP calculation (GGA+U) on a geometry-optimized CaMn5O7 structure.

Cell lengths 3.1613, 5.4372, 18.2778 Å; angles 90.00, 90.00, 73.10 degrees
Fractional coordinates of all 26 atoms:
Mn: 0.0002 0.9998 0.0000
Mn: 0.7236 0.5530 0.5739
Mn: 0.0000 0.9998 0.5001
Mn: 0.7235 0.5531 0.9261
Mn: 0.4593 0.0813 0.6533
Mn: 0.2765 0.4469 0.0739
Mn: 0.4594 0.0812 0.8467
Mn: 0.2764 0.4470 0.4261
Mn: 0.5406 0.9187 0.3467
Mn: 0.5406 0.9188 0.1533
O: 0.9072 0.1854 0.3952
O: 0.8163 0.3673 0.6644
O: 0.1837 0.6327 0.1644
O: 0.6481 0.7038 0.0288
O: 0.6481 0.7038 0.4713
O: 0.8163 0.3673 0.8356
O: 0.9072 0.1855 0.1048
O: 0.0928 0.8144 0.8952
O: 0.3518 0.2963 0.5287
O: 0.0928 0.8146 0.6048
O: 0.1837 0.6327 0.3356
O: 0.5473 0.9055 0.7500
O: 0.3519 0.2962 0.9712
O: 0.4527 0.0947 0.2500
Ca: 0.7982 0.4037 0.2500
Ca: 0.2018 0.5964 0.7500

Values from the calculation:
* DFT total energy: -7.520 eV per atom
* theoretical density: 4.71 g/cm³
* total magnetic moment: 0.00 μB per atom
* energy of formation from the pure elements: -2.1887 eV per atom

=====

4.
VASP calculation (GGA+U) on a geometry-optimized CaMn2O4 structure.

Cell lengths 3.1407, 9.2218, 10.7046 Å; angles 90.00, 90.00, 90.00 degrees
Fractional coordinates of all 28 atoms:
O: 0.7500 0.4128 0.5701
O: 0.7500 0.9128 0.9299
O: 0.7500 0.7174 0.6644
O: 0.2500 0.2826 0.3356
O: 0.2500 0.8868 0.4709
O: 0.7500 0.6132 0.9709
O: 0.7500 0.0190 0.2791
O: 0.7500 0.2174 0.8356
O: 0.2500 0.4810 0.7791
O: 0.2500 0.5872 0.4299
O: 0.2500 0.7826 0.1644
O: 0.7500 0.5190 0.2209
O: 0.2500 0.3868 0.0291
O: 0.2500 0.0872 0.0701
O: 0.7500 0.1132 0.5291
O: 0.2500 0.9810 0.7209
Mn: 0.2500 0.5639 0.6110
Mn: 0.7500 0.4195 0.8952
Mn: 0.7500 0.9195 0.6048
Mn: 0.7500 0.9361 0.1110
Mn: 0.2500 0.0805 0.3952
Mn: 0.7500 0.4361 0.3890
Mn: 0.2500 0.5805 0.1048
Mn: 0.2500 0.0639 0.8890
Ca: 0.2500 0.7433 0.8432
Ca: 0.7500 0.2567 0.1568
Ca: 0.2500 0.2433 0.6568
Ca: 0.7500 0.7567 0.3432

Values from the calculation:
* DFT total energy: -7.262 eV per atom
* theoretical density: 4.58 g/cm³
* total magnetic moment: 1.14 μB per atom
* energy of formation from the pure elements: -2.3990 eV per atom
* energy relative to the lowest polymorph listed for this composition: 0.049 eV/atom

=====

- Number 2 is which compound?
  CaMnO3

=====

- The lowest DFT total energy belongs to which entry?
  CaMn5O7

=====

- What is the formula in the second record?
  CaMnO3

=====

- DFT total energy of number 4 (CaMn2O4)?
  -7.262 eV per atom